Record 1
Here is an optimized crystal structure of CsAs2Rh2 from Materials Project. Energies are from r²SCAN.

Structure (CIF):
```
data_CsAs2Rh2
_cell_length_a 4.021
_cell_length_b 4.021
_cell_length_c 14.903
_cell_angle_alpha 90.00
_cell_angle_beta 90.00
_cell_angle_gamma 90.00
_symmetry_space_group_name_H-M 'I 4/m m m'
_symmetry_Int_Tables_number 139
_symmetry_space_group_name_Hall '-I 4 2'
loop_
_atom_site_label
_atom_site_type_symbol
_atom_site_fract_x
_atom_site_fract_y
_atom_site_fract_z
Cs1 Cs 0.000 0.000 0.000
As1 As 0.000 0.000 0.341
Rh1 Rh 0.000 0.500 0.250
```

Computed properties:
For the electronic total energy, the calculation gives -212.85 eV for the cell shown. For the mass density, the calculation gives 6.7 Mg/m³. As for the crystal system: tetragonal.

***

Record 2
Here is an optimized crystal structure of Sc3Ni4Ge4 from Materials Project. Energies are from r²SCAN.

Structure (CIF):
```
data_Sc3Ni4Ge4
_cell_length_a 3.892
_cell_length_b 6.575
_cell_length_c 12.851
_cell_angle_alpha 90.00
_cell_angle_beta 90.00
_cell_angle_gamma 90.00
_symmetry_space_group_name_H-M 'I m m m'
_symmetry_Int_Tables_number 71
_symmetry_space_group_name_Hall '-I 2 2'
loop_
_atom_site_label
_atom_site_type_symbol
_atom_site_fract_x
_atom_site_fract_y
_atom_site_fract_z
Sc1 Sc 0.000 0.000 0.000
Sc2 Sc 0.000 0.500 0.127
Ni1 Ni 0.000 0.304 0.322
Ge1 Ge 0.000 0.000 0.219
Ge2 Ge 0.000 0.196 0.500
```

Computed properties:
For the electronic total energy, the calculation gives -291.95 eV for the cell shown. For the mass density, the calculation gives 6.7 Mg/m³. As for the crystal system: orthorhombic.

***

Record 3
Here is an optimized crystal structure of TiP from Materials Project. Energies are from r²SCAN.

Structure (CIF):
```
data_TiP
_cell_length_a 3.4991
_cell_length_b 3.4991
_cell_length_c 11.6818
_cell_angle_alpha 90.00
_cell_angle_beta 90.00
_cell_angle_gamma 120.00
_symmetry_space_group_name_H-M 'P 63/m m c'
_symmetry_Int_Tables_number 194
_symmetry_space_group_name_Hall '-P 6c 2c'
loop_
_atom_site_label
_atom_site_type_symbol
_atom_site_fract_x
_atom_site_fract_y
_atom_site_fract_z
Ti1 Ti 0.3333 0.6667 0.1165
P1 P 0.0000 0.0000 0.0000
P2 P 0.3333 0.6667 0.7500
```

Computed properties:
For the electronic total energy, the calculation gives -98.06 eV for the cell shown. For the mass density, the calculation gives 4.2 Mg/m³. As for the crystal system: hexagonal.

***

Record 4
Here is an optimized crystal structure of Zn3P2 from Materials Project. Energies are from r²SCAN.

Structure (CIF):
```
data_Zn3P2
_cell_length_a 11.339
_cell_length_b 11.339
_cell_length_c 11.339
_cell_angle_alpha 90.00
_cell_angle_beta 90.00
_cell_angle_gamma 90.00
_symmetry_space_group_name_H-M 'I a -3'
_symmetry_Int_Tables_number 206
_symmetry_space_group_name_Hall '-I 2b 2c 3'
loop_
_atom_site_label
_atom_site_type_symbol
_atom_site_fract_x
_atom_site_fract_y
_atom_site_fract_z
Zn1 Zn 0.109 0.144 0.619
P1 P 0.000 0.000 0.000
P2 P 0.000 0.250 0.259
```

Computed properties:
The energy above the most stable polymorph in this dataset is 24 meV/atom. For the mass density, the calculation gives 4.7 Mg/m³. As for the crystal system: cubic.

***

Record 5
Here is an optimized crystal structure of TcPt3 from Materials Project. Energies are from r²SCAN.

Structure (CIF):
```
data_TcPt3
_cell_length_a 3.878
_cell_length_b 3.878
_cell_length_c 7.937
_cell_angle_alpha 90.00
_cell_angle_beta 90.00
_cell_angle_gamma 90.00
_symmetry_space_group_name_H-M 'I 4/m m m'
_symmetry_Int_Tables_number 139
_symmetry_space_group_name_Hall '-I 4 2'
loop_
_atom_site_label
_atom_site_type_symbol
_atom_site_fract_x
_atom_site_fract_y
_atom_site_fract_z
Tc1 Tc 0.000 0.000 0.000
Pt1 Pt 0.000 0.000 0.500
Pt2 Pt 0.000 0.500 0.250
```

Computed properties:
For the electronic total energy, the calculation gives -361.87 eV for the cell shown. For the mass density, the calculation gives 19.0 Mg/m³. As for the crystal system: tetragonal.

***

Record 6
Here is an optimized crystal structure of La2ZnHg from Materials Project. Energies are from r²SCAN.

Structure (CIF):
```
data_La2ZnHg
_cell_length_a 7.669
_cell_length_b 7.669
_cell_length_c 7.669
_cell_angle_alpha 90.00
_cell_angle_beta 90.00
_cell_angle_gamma 90.00
_symmetry_space_group_name_H-M 'F m -3 m'
_symmetry_Int_Tables_number 225
_symmetry_space_group_name_Hall '-F 4 2 3'
loop_
_atom_site_label
_atom_site_type_symbol
_atom_site_fract_x
_atom_site_fract_y
_atom_site_fract_z
La1 La 0.250 0.250 0.250
Zn1 Zn 0.000 0.000 0.000
Hg1 Hg 0.000 0.000 0.500
```

Computed properties:
For the electronic total energy, the calculation gives -478.18 eV for the cell shown. For the mass density, the calculation gives 8.0 Mg/m³. As for the crystal system: cubic.

***

| no. | total magnetic moment (μB/f.u.) |
| --- | --- |
| 1 | 0.00 |
| 2 | 0.00 |
| 3 | 0.00 |
| 4 | 0.00 |
| 5 | 0.00 |
| 6 | 0.76 |